(1)
BaV2O6 | PBE+U | optimized geometry

Results
- Piezoelectric modulus e_max: 0.21 C/m2
- Electronic total energy: -199.488 eV for the cell shown
- E_form: -2.694 eV per atom

abc: 7.7729 7.7729 8.0747
angles: 90.00 90.00 112.53
Atoms (fractional coordinates):
1 Ba 0.0000 0.0000 0.0000
2 Ba 0.1645 0.8355 0.5000
3 Ba 0.8355 0.1645 0.5000
4 V 0.0000 0.5000 0.9339
5 V 0.2505 0.3986 0.2589
6 V 0.3986 0.2505 0.7411
7 V 0.5000 0.0000 0.0661
8 V 0.6014 0.7495 0.7411
9 V 0.7495 0.6014 0.2589
10 O 0.1296 0.6819 0.8166
11 O 0.1437 0.4108 0.0604
12 O 0.1655 0.1665 0.2986
13 O 0.1665 0.1655 0.7014
14 O 0.1710 0.4928 0.4114
15 O 0.3181 0.8704 0.1834
16 O 0.4108 0.1437 0.9396
17 O 0.4928 0.1710 0.5886
18 O 0.5000 0.5000 0.2471
19 O 0.5000 0.5000 0.7529
20 O 0.5072 0.8290 0.5886
21 O 0.5892 0.8563 0.9396
22 O 0.6819 0.1296 0.1834
23 O 0.8290 0.5072 0.4114
24 O 0.8335 0.8345 0.7014
25 O 0.8345 0.8335 0.2986
26 O 0.8563 0.5892 0.0604
27 O 0.8704 0.3181 0.8166


(2)
Mn3AsH4O8 | PBE+U | optimized geometry

Results
- Total moment: 14.0 μB per formula unit
- Electronic total energy: -409.938 eV for the cell shown
- E_form: -1.730 eV per atom

abc: 9.6257 13.3438 5.4393
angles: 90.00 90.00 90.00
Atoms (fractional coordinates):
1 Mn 0.0000 0.0000 0.0000
2 Mn 0.0000 0.5000 0.0000
3 Mn 0.0219 0.1297 0.4833
4 Mn 0.0219 0.3703 0.4833
5 Mn 0.4781 0.6297 0.9833
6 Mn 0.4781 0.8703 0.9833
7 Mn 0.5000 0.0000 0.5000
8 Mn 0.5000 0.5000 0.5000
9 Mn 0.5219 0.1297 0.0167
10 Mn 0.5219 0.3703 0.0167
11 Mn 0.9781 0.6297 0.5167
12 Mn 0.9781 0.8703 0.5167
13 As 0.1519 0.7500 0.0254
14 As 0.3481 0.2500 0.5254
15 As 0.6519 0.7500 0.4746
16 As 0.8481 0.2500 0.9746
17 H 0.1715 0.1352 0.0467
18 H 0.1715 0.3648 0.0467
19 H 0.2006 0.5225 0.6934
20 H 0.2006 0.9775 0.6934
21 H 0.2994 0.0225 0.1934
22 H 0.2994 0.4775 0.1934
23 H 0.3285 0.6352 0.5467
24 H 0.3285 0.8648 0.5467
25 H 0.6715 0.1352 0.4533
26 H 0.6715 0.3648 0.4533
27 H 0.7006 0.5225 0.8066
28 H 0.7006 0.9775 0.8066
29 H 0.7994 0.0225 0.3066
30 H 0.7994 0.4775 0.3066
31 H 0.8285 0.6352 0.9533
32 H 0.8285 0.8648 0.9533
33 O 0.0908 0.6441 0.1727
34 O 0.0908 0.8559 0.1727
35 O 0.0992 0.5052 0.6864
36 O 0.0992 0.9948 0.6864
37 O 0.0998 0.7500 0.7197
38 O 0.1438 0.0816 0.1588
39 O 0.1438 0.4184 0.1588
40 O 0.1683 0.2500 0.5546
41 O 0.3317 0.7500 0.0546
42 O 0.3562 0.5816 0.6588
43 O 0.3562 0.9184 0.6588
44 O 0.4002 0.2500 0.2197
45 O 0.4008 0.0052 0.1864
46 O 0.4008 0.4948 0.1864
47 O 0.4092 0.1441 0.6727
48 O 0.4092 0.3559 0.6727
49 O 0.5908 0.6441 0.3273
50 O 0.5908 0.8559 0.3273
51 O 0.5992 0.5052 0.8136
52 O 0.5992 0.9948 0.8136
53 O 0.5998 0.7500 0.7803
54 O 0.6438 0.0816 0.3412
55 O 0.6438 0.4184 0.3412
56 O 0.6683 0.2500 0.9454
57 O 0.8317 0.7500 0.4454
58 O 0.8562 0.5816 0.8412
59 O 0.8562 0.9184 0.8412
60 O 0.9002 0.2500 0.2803
61 O 0.9008 0.0052 0.3136
62 O 0.9008 0.4948 0.3136
63 O 0.9092 0.1441 0.8273
64 O 0.9092 0.3559 0.8273


(3)
CoCuP2O7 | PBE+U | optimized geometry

Results
- Total moment: 4.0 μB per formula unit
- Electronic total energy: -73.474 eV for the cell shown
- E_form: -2.114 eV per atom
- Offset from the most stable computed form: 13 meV per atom

abc: 4.5931 5.3639 5.3929
angles: 101.43 100.94 100.89
Atoms (fractional coordinates):
1 Co 0.0000 0.0000 0.0000
2 Cu 0.0071 0.3781 0.6245
3 P 0.4119 0.8905 0.5240
4 P 0.5972 0.4781 0.1167
5 O 0.2237 0.7541 0.6894
6 O 0.2381 0.0400 0.3637
7 O 0.2904 0.3102 0.9349
8 O 0.5028 0.6586 0.3444
9 O 0.7221 0.0696 0.6902
10 O 0.7737 0.6397 0.9691
11 O 0.7862 0.3125 0.2521